Here is crystalline SmMoO5 at its relaxed geometry from Materials Project. Energies are from GGA+U.

a b c (Å): 5.4417 12.8004 7.0943
angles (deg): 90.00 116.54 90.00
Space group P2_1/c (No. 14)
Inequivalent atoms, fractional coordinates:
1 Sm 0.1580 0.0604 0.2847
2 Mo 0.4153 0.1353 0.8550
3 O 0.0419 0.5549 0.9858
4 O 0.2051 0.0607 0.9550
5 O 0.2694 0.6554 0.4206
6 O 0.2807 0.2376 0.2719
7 O 0.4876 0.5752 0.8383


Here is crystalline SnMo5O8 at its relaxed geometry from Materials Project. Energies are from GGA+U.

a b c (Å): 8.3990 9.9689 10.6941
angles (deg): 90.00 110.41 90.00
Space group P2_1/c (No. 14)
Inequivalent atoms, fractional coordinates:
1 Sn 0.1889 0.0563 0.4782
2 Mo 0.0837 0.1286 0.8009
3 Mo 0.1051 0.6359 0.4810
4 Mo 0.2930 0.6415 0.2699
5 Mo 0.3097 0.1240 0.1424
6 Mo 0.4915 0.1360 0.9096
7 O 0.0912 0.5017 0.6381
8 O 0.0965 0.5059 0.1435
9 O 0.1052 0.2338 0.9879
10 O 0.1108 0.7436 0.3112
11 O 0.2861 0.2503 0.2919
12 O 0.3075 0.7504 0.1086
13 O 0.4690 0.5049 0.2529
14 O 0.4958 0.7285 0.4055


Here is crystalline SrMo5O8 at its relaxed geometry from Materials Project. Energies are from GGA+U.

a b c (Å): 8.4094 9.5483 10.8102
angles (deg): 90.00 109.75 90.00
Space group P2_1/c (No. 14)
Inequivalent atoms, fractional coordinates:
1 Sr 0.2161 0.0220 0.4679
2 Mo 0.0897 0.1333 0.8092
3 Mo 0.1044 0.6430 0.4813
4 Mo 0.2925 0.6393 0.2725
5 Mo 0.3056 0.1299 0.1351
6 Mo 0.4925 0.1446 0.9131
7 O 0.0896 0.5009 0.6358
8 O 0.1035 0.2417 0.9901
9 O 0.1092 0.5102 0.1633
10 O 0.1256 0.7333 0.8227
11 O 0.2887 0.2294 0.3046
12 O 0.3059 0.7305 0.1002
13 O 0.4766 0.5037 0.2595
14 O 0.4978 0.7441 0.4064


Here is crystalline Sr3Mo2O7 at its relaxed geometry from Materials Project. Energies are from GGA+U.

a b c (Å): 4.0283 4.0283 21.3218
angles (deg): 90.00 90.00 90.00
Space group I4/mmm (No. 139)
Inequivalent atoms, fractional coordinates:
1 Sr 0.0000 0.0000 0.0000
2 Sr 0.0000 0.0000 0.1887
3 Mo 0.0000 0.0000 0.4010
4 O 0.0000 0.0000 0.3017
5 O 0.0000 0.0000 0.5000
6 O 0.0000 0.5000 0.0974


The following volume values (in Å³ per atom) correspond, in order, to the records above: 15.79; 14.99; 14.59; 14.42.
The following formation enthalpy at 0 K values (in eV per formula unit) correspond, in order, to the records above: -17.23; -20.76; -24.72; -31.65.